# PBE NaSO2, relaxed
data_NaSO2
_chemical_formula_sum 'Na4 S4 O8'
_space_group_name_H-M_alt 'P 1 2/c 1'
_space_group_IT_number 13
_space_group_name_Hall '-P 2yc'
_cell_length_a 6.4975
_cell_length_b 6.7585
_cell_length_c 6.6639
_cell_angle_alpha 90.00
_cell_angle_beta 118.60
_cell_angle_gamma 90.00
loop_
_atom_site_label
_atom_site_type_symbol
_atom_site_fract_x
_atom_site_fract_y
_atom_site_fract_z
Na1 Na 0.2364 0.1485 0.0229
S1 S 0.3089 0.3371 0.5717
O1 O 0.1802 0.1854 0.6422
O2 O 0.3856 0.2378 0.4136
# * E (MP2020): -90.197 eV for the cell shown
# * crystal system: monoclinic
# * raw total energy: -5.294 eV/atom
# * calculated volume: 64.23 Å³/f.u.
# * total magnetic moment: 0.0 μB/cell